Record 1
A plane-wave DFT calculation with r²SCAN was carried out for a relaxed structure of YbMn2Ge2.

Formation energy: -580 meV per atom

The structure in POSCAR format:
```
YbMn2Ge2
1.0
-2.0153 2.0153 5.4463
2.0153 -2.0153 5.4463
2.0153 2.0153 -5.4463
Yb Mn Ge
1 2 2
Direct
0.0000 0.0000 0.0000
0.2500 0.7500 0.5000
0.7500 0.2500 0.5000
0.3878 0.3878 0.0000
0.6122 0.6122 0.0000
```


Record 2
A plane-wave DFT calculation with r²SCAN was carried out for a relaxed structure of SrH2.

Formation energy: -602 meV per atom

The structure in POSCAR format:
```
SrH2
1.0
4.1215 0.0000 0.0000
-2.0608 3.5693 0.0000
0.0000 0.0000 5.6766
Sr H
2 4
Direct
0.3333 0.6667 0.2500
0.6667 0.3333 0.7500
0.0000 0.0000 0.0000
0.0000 0.0000 0.5000
0.3333 0.6667 0.7500
0.6667 0.3333 0.2500
```


Record 3
A plane-wave DFT calculation with r²SCAN was carried out for a relaxed structure of BaSm2Sc2O7.

Formation energy: -3683 meV per atom

The structure in POSCAR format:
```
BaSm2Sc2O7
1.0
5.8029 0.0000 0.0000
0.0000 5.8029 0.0000
0.0000 0.0000 20.1169
Ba Sm Sc O
4 8 8 28
Direct
0.2391 0.2391 0.0000
0.2609 0.7391 0.5000
0.7391 0.2609 0.5000
0.7609 0.7609 0.0000
0.2217 0.2217 0.1849
0.2217 0.2217 0.8151
0.2783 0.7217 0.3151
0.2783 0.7217 0.6849
0.7217 0.2783 0.3151
0.7217 0.2783 0.6849
0.7783 0.7783 0.1849
0.7783 0.7783 0.8151
0.2415 0.2415 0.3965
0.2415 0.2415 0.6035
0.2585 0.7415 0.1035
0.2585 0.7415 0.8965
0.7415 0.2585 0.1035
0.7415 0.2585 0.8965
0.7585 0.7585 0.3965
0.7585 0.7585 0.6035
0.0000 0.0000 0.0951
0.0000 0.0000 0.3677
0.0000 0.0000 0.6323
0.0000 0.0000 0.9049
0.0000 0.5000 0.1160
0.0000 0.5000 0.3840
0.0000 0.5000 0.6160
0.0000 0.5000 0.8840
0.1819 0.8181 0.2113
0.1819 0.8181 0.7887
0.2152 0.2152 0.5000
0.2848 0.7152 0.0000
0.3181 0.3181 0.2887
0.3181 0.3181 0.7113
0.5000 0.0000 0.1160
0.5000 0.0000 0.3840
0.5000 0.0000 0.6160
0.5000 0.0000 0.8840
0.5000 0.5000 0.1323
0.5000 0.5000 0.4049
0.5000 0.5000 0.5951
0.5000 0.5000 0.8677
0.6819 0.6819 0.2887
0.6819 0.6819 0.7113
0.7152 0.2848 0.0000
0.7848 0.7848 0.5000
0.8181 0.1819 0.2113
0.8181 0.1819 0.7887
```